This record from the Materials Project database describes a relaxed structure of NdAl11O18. The functional is GGA-PBE.

Cell lengths 5.6111, 5.6428, 11.5061 Å; angles 77.02, 89.99, 61.58 degrees
With the nearest neighbours (Å) after each atom.
Space group P-1 (No. 2)
Asymmetric unit:
1 Nd 0.0000 0.0000 0.0000  4 O 2.22-2.42
2 Al 0.0000 0.0000 0.5000  2 O 1.55
3 Al 0.1023 0.5877 0.2760  2 O 1.57-1.75
4 Al 0.1079 0.0977 0.2929  2 O 1.53-1.61
5 Al 0.3518 0.3537 0.5564  1 O 1.59
6 Al 0.3993 0.9054 0.7177  1 O 1.52
7 Al 0.4535 0.4580 0.8729  1 O 1.51
8 O 0.0840 0.6175 0.7906  1 Al 1.53
9 O 0.0847 0.0992 0.7934  1 Al 1.57
10 O 0.1813 0.7256 0.5973  1 Al 1.55
11 O 0.1908 0.1914 0.6066  2 Al 1.59-1.70
12 O 0.2712 0.5551 0.0032  2 Al 1.85-2.07
13 O 0.2800 0.8132 0.3967  1 Al 1.61
14 O 0.3065 0.2918 0.3918  1 Al 1.75
15 O 0.3978 0.9090 0.1960  2 Al 1.98-2.17
16 O 0.4245 0.3953 0.2122  2 Al 1.51-1.52

For the total energy, the calculation gives -6.51 eV per atom.

This record from the Materials Project database describes a relaxed structure of Pr2Al3Ag. The functional is GGA-PBE.

Cell lengths 3.8164, 4.6407, 8.0762 Å; angles 90.00, 90.00, 90.00 degrees
With the nearest neighbours (Å) after each atom.
Space group Pmm2 (No. 25)
Asymmetric unit:
1 Pr 0.0000 0.0000 0.0000  10 Al 3.26-3.31, 2 Ag 3.33
2 Pr 0.0000 0.5000 0.4859  8 Al 3.26-3.35, 4 Ag 3.32
3 Al 0.5000 0.0000 0.3278  2 Al 2.70, 1 Ag 2.70
4 Al 0.5000 0.5000 0.1578  3 Al 2.67-2.70
5 Al 0.5000 0.5000 0.8270  1 Al 2.67, 2 Ag 2.67
6 Ag 0.5000 0.0000 0.6623  3 Al 2.67-2.70

For the total energy, the calculation gives -4.36 eV per atom.

This record from the Materials Project database describes a relaxed structure of Nb4Fe2N. The functional is GGA-PBE.

Cell lengths 11.7200, 11.7200, 11.7200 Å; angles 90.00, 90.00, 90.00 degrees
With the nearest neighbours (Å) after each atom.
Space group Fd-3m (No. 227, origin choice 2)
Asymmetric unit:
1 Nb 0.0000 0.0000 0.0000  6 Fe 2.52
2 Nb 0.0602 0.3750 0.8750  2 N 2.19
3 Fe 0.0441 0.0441 0.2059  6 Nb 2.52-2.81, 3 Fe 2.68
4 N 0.0000 0.0000 0.5000  6 Nb 2.19

For the total energy, the calculation gives -9.81 eV per atom.